1.
# Ca3Ta2O8 (GGA-PBE, optimized geometry)
# Symmetry: C2/c
# Spin magnetization, μB per cell: 0.00
# Excess energy over the best structure of this formula in the dataset, eV per atom: 0.019
data_Ca3Ta2O8
_chemical_formula_sum 'Ca6 Ta4 O16'
_cell_length_a 6.712
_cell_length_b 6.712
_cell_length_c 9.175
_cell_angle_alpha 72.60
_cell_angle_beta 72.60
_cell_angle_gamma 82.84
_symmetry_space_group_name_H-M 'P 1'
_symmetry_Int_Tables_number 1
_symmetry_space_group_name_Hall 'P 1'
loop_
_atom_site_label
_atom_site_type_symbol
_atom_site_fract_x
_atom_site_fract_y
_atom_site_fract_z
Ca1 Ca 0.266 0.396 0.000
Ca2 Ca 0.734 0.604 0.000
Ca3 Ca 0.604 0.734 0.500
Ca4 Ca 0.276 0.724 0.250
Ca5 Ca 0.396 0.266 0.500
Ca6 Ca 0.724 0.276 0.750
Ta1 Ta 0.066 0.782 0.621
Ta2 Ta 0.934 0.218 0.379
Ta3 Ta 0.782 0.066 0.121
Ta4 Ta 0.218 0.934 0.879
O1 O 0.179 0.375 0.321
O2 O 0.401 0.717 0.969
O3 O 0.717 0.401 0.469
O4 O 0.375 0.179 0.821
O5 O 0.821 0.625 0.679
O6 O 0.691 0.061 0.356
O7 O 0.107 0.945 0.388
O8 O 0.309 0.939 0.644
O9 O 0.055 0.893 0.112
O10 O 0.625 0.821 0.179
O11 O 0.599 0.283 0.031
O12 O 0.893 0.055 0.612
O13 O 0.945 0.107 0.888
O14 O 0.283 0.599 0.531
O15 O 0.939 0.309 0.144
O16 O 0.061 0.691 0.856

2.
# UNi4Sn (GGA-PBE, optimized geometry)
# Symmetry: F-43m
# Spin magnetization, μB per cell: 0.00
# E_tot, eV/atom: -6.625
data_UNi4Sn
_chemical_formula_sum 'U1 Ni4 Sn1'
_cell_length_a 4.967
_cell_length_b 4.967
_cell_length_c 4.967
_cell_angle_alpha 60.00
_cell_angle_beta 60.00
_cell_angle_gamma 60.00
_symmetry_space_group_name_H-M 'P 1'
_symmetry_Int_Tables_number 1
_symmetry_space_group_name_Hall 'P 1'
loop_
_atom_site_label
_atom_site_type_symbol
_atom_site_fract_x
_atom_site_fract_y
_atom_site_fract_z
Ni1 Ni 0.375 0.874 0.375
Ni2 Ni 0.375 0.375 0.874
Ni3 Ni 0.874 0.375 0.375
Ni4 Ni 0.375 0.375 0.375
Sn1 Sn 0.750 0.750 0.750
U1 U 0.000 0.000 0.000

3.
# SmI3O9 (GGA-PBE, optimized geometry)
# Symmetry: P2_1/c
# E_tot, eV/atom: -5.138
data_SmI3O9
_chemical_formula_sum 'Sm4 I12 O36'
_cell_length_a 8.734
_cell_length_b 7.347
_cell_length_c 13.703
_cell_angle_alpha 80.28
_cell_angle_beta 90.00
_cell_angle_gamma 90.00
_symmetry_space_group_name_H-M 'P 1'
_symmetry_Int_Tables_number 1
_symmetry_space_group_name_Hall 'P 1'
loop_
_atom_site_label
_atom_site_type_symbol
_atom_site_fract_x
_atom_site_fract_y
_atom_site_fract_z
I1 I 0.203 0.834 0.108
I2 I 0.297 0.834 0.608
I3 I 0.524 0.735 0.891
I4 I 0.550 0.328 0.645
I5 I 0.703 0.166 0.392
I6 I 0.450 0.672 0.355
I7 I 0.976 0.735 0.391
I8 I 0.050 0.672 0.855
I9 I 0.797 0.166 0.892
I10 I 0.950 0.328 0.145
I11 I 0.024 0.265 0.609
I12 I 0.476 0.265 0.109
Sm1 Sm 0.244 0.174 0.355
Sm2 Sm 0.256 0.174 0.855
Sm3 Sm 0.744 0.826 0.145
Sm4 Sm 0.756 0.826 0.645
O1 O 0.335 0.645 0.540
O2 O 0.916 0.679 0.519
O3 O 0.084 0.321 0.481
O4 O 0.320 0.480 0.356
O5 O 0.691 0.143 0.677
O6 O 0.584 0.679 0.019
O7 O 0.027 0.977 0.389
O8 O 0.474 0.835 0.680
O9 O 0.191 0.857 0.823
O10 O 0.665 0.355 0.460
O11 O 0.526 0.165 0.320
O12 O 0.972 0.670 0.731
O13 O 0.973 0.023 0.611
O14 O 0.309 0.857 0.323
O15 O 0.835 0.355 0.960
O16 O 0.708 0.772 0.824
O17 O 0.334 0.035 0.513
O18 O 0.208 0.228 0.676
O19 O 0.026 0.835 0.180
O20 O 0.028 0.330 0.269
O21 O 0.527 0.023 0.111
O22 O 0.473 0.977 0.889
O23 O 0.680 0.520 0.644
O24 O 0.165 0.645 0.040
O25 O 0.166 0.035 0.013
O26 O 0.666 0.965 0.487
O27 O 0.974 0.165 0.820
O28 O 0.792 0.772 0.324
O29 O 0.528 0.670 0.231
O30 O 0.820 0.520 0.144
O31 O 0.292 0.228 0.176
O32 O 0.180 0.480 0.856
O33 O 0.809 0.143 0.177
O34 O 0.416 0.321 0.981
O35 O 0.834 0.965 0.987
O36 O 0.472 0.330 0.769